VASP calculation (GGA+U) on a relaxed structure of Cr2O3.

Total magnetization: 6.00 μB per formula unit
Crystal system: orthorhombic
ΔH_f (0 K): -2.07 eV per atom
Final energy: -7.685 eV per atom

abc: 5.170 5.170 15.627
angles: 90.00 90.00 146.18
Fractional coordinates of all 20 atoms:
O (0.265, 0.735, 0.073)
O (0.735, 0.265, 0.927)
O (0.000, 0.000, 0.500)
O (0.172, 0.828, 0.750)
Cr (0.634, 0.366, 0.456)
O (0.472, 0.528, 0.852)
O (0.528, 0.472, 0.352)
O (0.472, 0.528, 0.648)
O (0.828, 0.172, 0.250)
Cr (0.905, 0.095, 0.356)
Cr (0.366, 0.634, 0.956)
Cr (0.634, 0.366, 0.044)
O (0.000, 0.000, 0.000)
O (0.265, 0.735, 0.427)
Cr (0.905, 0.095, 0.144)
O (0.735, 0.265, 0.573)
Cr (0.095, 0.905, 0.644)
Cr (0.095, 0.905, 0.856)
O (0.528, 0.472, 0.148)
Cr (0.366, 0.634, 0.544)